1.
# Cs2XeBr4F28

A geometry-optimized Cs2XeBr4F28 structure (PBE-GGA, the Materials Project database).

a = 12.6364 Å, b = 12.8913 Å, c = 16.0628 Å
α = 90.00°, β = 90.00°, γ = 90.00°
With the nearest neighbours (Å) after each atom.
Atoms (fractional coordinates):
Cs1 0.5450 0.9853 0.1721  9 F 3.15-3.39
Cs2 0.9550 0.0147 0.6721  9 F 3.15-3.39
Cs3 0.4550 0.4853 0.8279  9 F 3.15-3.39
Cs4 0.0450 0.9853 0.3279  9 F 3.15-3.39
Cs5 0.5450 0.5147 0.1721  9 F 3.15-3.39
Cs6 0.9550 0.4853 0.6721  9 F 3.15-3.39
Cs7 0.4550 0.0147 0.8279  9 F 3.15-3.39
Cs8 0.0450 0.5147 0.3279  9 F 3.15-3.39
Xe1 0.4056 0.2500 0.0222  8 F 2.08-2.17
Xe2 0.9056 0.2500 0.4778  8 F 2.08-2.17
Xe3 0.0944 0.7500 0.5222  8 F 2.08-2.17
Xe4 0.5944 0.7500 0.9778  8 F 2.08-2.17
Br1 0.1738 0.7500 0.7710  5 F 1.75-1.84
Br2 0.3262 0.2500 0.2710  5 F 1.75-1.84
Br3 0.2940 0.0120 0.5472  5 F 1.76-1.85
Br4 0.6738 0.7500 0.7290  5 F 1.75-1.84
Br5 0.2060 0.9880 0.0472  5 F 1.76-1.85
Br6 0.3199 0.7500 0.3214  5 F 1.77-1.84
Br7 0.2060 0.5120 0.0472  5 F 1.76-1.85
Br8 0.7940 0.0120 0.9528  5 F 1.76-1.85
Br9 0.7940 0.4880 0.9528  5 F 1.76-1.85
Br10 0.2940 0.4880 0.5472  5 F 1.76-1.85
Br11 0.7060 0.5120 0.4528  5 F 1.76-1.85
Br12 0.8199 0.7500 0.1786  5 F 1.77-1.84
Br13 0.7060 0.9880 0.4528  5 F 1.76-1.85
Br14 0.6801 0.2500 0.6786  5 F 1.77-1.84
Br15 0.8262 0.2500 0.2290  5 F 1.75-1.84
Br16 0.1801 0.2500 0.8214  5 F 1.77-1.84
F1 0.9833 0.7500 0.6177  1 Xe 2.08
F2 0.2942 0.3479 0.9562  1 Xe 2.17
F3 0.5126 0.6099 0.9902  1 Xe 2.09
F4 0.7978 0.5742 0.3786  1 Br 1.85
F5 0.0167 0.2500 0.3823  1 Xe 2.08
F6 0.7210 0.4276 0.0386  1 Br 1.83
F7 0.3310 0.3486 0.1139  1 Xe 2.16
F8 0.2058 0.6521 0.4562  1 Xe 2.17
F9 0.4683 0.2500 0.9015  1 Xe 2.09
F10 0.8956 0.9697 0.0252  1 Br 1.82
F11 0.1044 0.4697 0.9748  1 Br 1.82
F12 0.9277 0.1495 0.2140  1 Br 1.84
F13 0.3786 0.9716 0.6348  1 Br 1.84
F14 0.5723 0.6495 0.7140  1 Br 1.84
F15 0.3790 0.7500 0.2216  1 Br 1.77
F16 0.6214 0.0284 0.3652  1 Br 1.84
F17 0.7022 0.4258 0.8786  1 Br 1.85
F18 0.1926 0.7500 0.2659  1 Br 1.84
F19 0.1690 0.6514 0.6139  1 Xe 2.16
F20 0.1829 0.7500 0.8799  1 Br 1.75
F21 0.1210 0.2500 0.7216  1 Br 1.77
F22 0.2790 0.9276 0.9614  1 Br 1.83
F23 0.8310 0.1514 0.3861  1 Xe 2.16
F24 0.7942 0.1521 0.5438  1 Xe 2.17
F25 0.7229 0.3500 0.2259  1 Br 1.84
F26 0.0126 0.6099 0.5098  1 Xe 2.09
F27 0.8074 0.2500 0.7341  1 Br 1.84
F28 0.3256 0.8915 0.3104  1 Br 1.83
F29 0.6044 0.0303 0.5252  1 Br 1.82
F30 0.6926 0.7500 0.2341  1 Br 1.84
F31 0.1744 0.1085 0.8104  1 Br 1.83
F32 0.5167 0.2500 0.1177  1 Xe 2.08
F33 0.4552 0.7500 0.3612  1 Br 1.83
F34 0.5126 0.8901 0.9902  1 Xe 2.09
F35 0.2229 0.1500 0.2741  1 Br 1.84
F36 0.6690 0.6514 0.8861  1 Xe 2.16
F37 0.4277 0.1495 0.2860  1 Br 1.84
F38 0.8790 0.7500 0.2784  1 Br 1.77
F39 0.1214 0.0284 0.1348  1 Br 1.84
F40 0.6829 0.7500 0.6201  1 Br 1.75
F41 0.7771 0.6500 0.7259  1 Br 1.84
F42 0.2771 0.8500 0.7741  1 Br 1.84
F43 0.7790 0.9276 0.5386  1 Br 1.83
F44 0.8310 0.3486 0.3861  1 Xe 2.16
F45 0.1044 0.0303 0.9748  1 Br 1.82
F46 0.7790 0.5724 0.5386  1 Br 1.83
F47 0.2229 0.3500 0.2741  1 Br 1.84
F48 0.5317 0.7500 0.0985  1 Xe 2.09
F49 0.0126 0.8901 0.5098  1 Xe 2.09
F50 0.8643 0.3702 0.9480  1 Br 1.76
F51 0.7058 0.6521 0.0438  1 Xe 2.17
F52 0.8786 0.5284 0.8652  1 Br 1.84
F53 0.1214 0.4716 0.1348  1 Br 1.84
F54 0.6744 0.1085 0.6896  1 Br 1.83
F55 0.6357 0.6298 0.4480  1 Br 1.76
F56 0.3643 0.3702 0.5520  1 Br 1.76
F57 0.4277 0.3505 0.2860  1 Br 1.84
F58 0.3256 0.6085 0.3104  1 Br 1.83
F59 0.4833 0.7500 0.8823  1 Xe 2.08
F60 0.9683 0.2500 0.5985  1 Xe 2.09
F61 0.6044 0.4697 0.5252  1 Br 1.82
F62 0.0317 0.7500 0.4015  1 Xe 2.09
F63 0.9874 0.1099 0.4902  1 Xe 2.09
F64 0.0448 0.2500 0.8612  1 Br 1.83
F65 0.2210 0.4276 0.4614  1 Br 1.83
F66 0.2058 0.8479 0.4562  1 Xe 2.17
F67 0.0723 0.6495 0.7860  1 Br 1.84
F68 0.7229 0.1500 0.2259  1 Br 1.84
F69 0.6744 0.3915 0.6896  1 Br 1.83
F70 0.9874 0.3901 0.4902  1 Xe 2.09
F71 0.2790 0.5724 0.9614  1 Br 1.83
F72 0.8956 0.5303 0.0252  1 Br 1.82
F73 0.3786 0.5284 0.6348  1 Br 1.84
F74 0.7978 0.9258 0.3786  1 Br 1.85
F75 0.0723 0.8505 0.7860  1 Br 1.84
F76 0.4874 0.3901 0.0098  1 Xe 2.09
F77 0.7022 0.0742 0.8786  1 Br 1.85
F78 0.4874 0.1099 0.0098  1 Xe 2.09
F79 0.9552 0.7500 0.1388  1 Br 1.83
F80 0.1357 0.6298 0.0520  1 Br 1.76
F81 0.1357 0.8702 0.0520  1 Br 1.76
F82 0.8256 0.6085 0.1896  1 Br 1.83
F83 0.6214 0.4716 0.3652  1 Br 1.84
F84 0.1690 0.8486 0.6139  1 Xe 2.16
F85 0.2210 0.0724 0.4614  1 Br 1.83
F86 0.5723 0.8505 0.7140  1 Br 1.84
F87 0.7210 0.0724 0.0386  1 Br 1.83
F88 0.3643 0.1298 0.5520  1 Br 1.76
F89 0.8786 0.9716 0.8652  1 Br 1.84
F90 0.6690 0.8486 0.8861  1 Xe 2.16
F91 0.3956 0.9697 0.4748  1 Br 1.82
F92 0.3310 0.1514 0.1139  1 Xe 2.16
F93 0.2022 0.4258 0.6214  1 Br 1.85
F94 0.2771 0.6500 0.7741  1 Br 1.84
F95 0.7058 0.8479 0.0438  1 Xe 2.17
F96 0.6210 0.2500 0.7784  1 Br 1.77
F97 0.3074 0.2500 0.7659  1 Br 1.84
F98 0.3956 0.5303 0.4748  1 Br 1.82
F99 0.2942 0.1521 0.9562  1 Xe 2.17
F100 0.7942 0.3479 0.5438  1 Xe 2.17
F101 0.8643 0.1298 0.9480  1 Br 1.76
F102 0.3171 0.2500 0.3799  1 Br 1.75
F103 0.7771 0.8500 0.7259  1 Br 1.84
F104 0.2978 0.9258 0.1214  1 Br 1.85
F105 0.2978 0.5742 0.1214  1 Br 1.85
F106 0.5448 0.2500 0.6388  1 Br 1.83
F107 0.8171 0.2500 0.1201  1 Br 1.75
F108 0.1744 0.3915 0.8104  1 Br 1.83
F109 0.8256 0.8915 0.1896  1 Br 1.83
F110 0.2022 0.0742 0.6214  1 Br 1.85
F111 0.6357 0.8702 0.4480  1 Br 1.76
F112 0.9277 0.3505 0.2140  1 Br 1.84

Values from the calculation:
Calculated formation energy, kJ per mole of atoms: -141.6
Total magnetic moment, μB/f.u.: 0.03
Space group: Pnma (62)
Crystal system: orthorhombic
Final energy, eV/cell: -401.65

---

2.
# CsFeBr4

A geometry-optimized CsFeBr4 structure (PBE-GGA, the Materials Project database).

a = 7.7726 Å, b = 10.2130 Å, c = 12.6020 Å
α = 90.00°, β = 90.00°, γ = 90.00°
With the nearest neighbours (Å) after each atom.
Atoms (fractional coordinates):
Cs1 0.2500 0.6586 0.1836  8 Br 3.72-4.11
Cs2 0.7500 0.3414 0.8164  8 Br 3.72-4.11
Cs3 0.7500 0.1586 0.3164  8 Br 3.72-4.11
Cs4 0.2500 0.8414 0.6836  8 Br 3.72-4.11
Fe1 0.2500 0.1914 0.0632  4 Br 2.34-2.37
Fe2 0.7500 0.8086 0.9368  4 Br 2.34-2.37
Fe3 0.7500 0.6914 0.4368  4 Br 2.34-2.37
Fe4 0.2500 0.3086 0.5632  4 Br 2.34-2.37
Br1 0.2500 0.4019 0.3935  1 Fe 2.34
Br2 0.7500 0.5981 0.6065  1 Fe 2.34
Br3 0.7500 0.9019 0.1065  1 Fe 2.34
Br4 0.2500 0.0981 0.8935  1 Fe 2.34
Br5 0.2500 0.0327 0.1982  1 Fe 2.35
Br6 0.7500 0.9673 0.8018  1 Fe 2.35
Br7 0.7500 0.5327 0.3018  1 Fe 2.35
Br8 0.2500 0.4673 0.6982  1 Fe 2.35
Br9 0.0029 0.3258 0.0824  1 Fe 2.37
Br10 0.9971 0.6742 0.9176  1 Fe 2.37
Br11 0.9971 0.8258 0.4176  1 Fe 2.37
Br12 0.5029 0.6742 0.9176  1 Fe 2.37
Br13 0.0029 0.1742 0.5824  1 Fe 2.37
Br14 0.4971 0.3258 0.0824  1 Fe 2.37
Br15 0.4971 0.1742 0.5824  1 Fe 2.37
Br16 0.5029 0.8258 0.4176  1 Fe 2.37

Values from the calculation:
Calculated formation energy, kJ per mole of atoms: -132.0
Space group: Pnma (62)
Crystal system: orthorhombic
Final energy, eV/cell: -87.95

---

3.
# CsGaBr4

A geometry-optimized CsGaBr4 structure (PBE-GGA, the Materials Project database).

a = 7.6994 Å, b = 10.2779 Å, c = 12.5702 Å
α = 90.00°, β = 90.00°, γ = 90.00°
With the nearest neighbours (Å) after each atom.
Atoms (fractional coordinates):
Cs1 0.7500 0.6731 0.3193  10 Br 3.82-4.24
Cs2 0.2500 0.1731 0.1807  10 Br 3.82-4.24
Cs3 0.7500 0.8269 0.8193  10 Br 3.82-4.24
Cs4 0.2500 0.3269 0.6807  10 Br 3.82-4.24
Ga1 0.7500 0.1905 0.4309  4 Br 2.34-2.37
Ga2 0.2500 0.6905 0.0691  4 Br 2.34-2.37
Ga3 0.2500 0.8095 0.5691  4 Br 2.34-2.37
Ga4 0.7500 0.3095 0.9309  4 Br 2.34-2.37
Br1 0.2500 0.5773 0.9071  1 Ga 2.34
Br2 0.4970 0.8278 0.0812  1 Ga 2.37
Br3 0.4970 0.6722 0.5812  1 Ga 2.37
Br4 0.7500 0.4491 0.7819  1 Ga 2.36
Br5 0.5030 0.3278 0.4188  1 Ga 2.37
Br6 0.5030 0.1722 0.9188  1 Ga 2.37
Br7 0.0030 0.8278 0.0812  1 Ga 2.37
Br8 0.2500 0.9491 0.7181  1 Ga 2.36
Br9 0.2500 0.5509 0.2181  1 Ga 2.36
Br10 0.9970 0.1722 0.9188  1 Ga 2.37
Br11 0.7500 0.0509 0.2819  1 Ga 2.36
Br12 0.7500 0.0773 0.5929  1 Ga 2.34
Br13 0.0030 0.6722 0.5812  1 Ga 2.37
Br14 0.9970 0.3278 0.4188  1 Ga 2.37
Br15 0.7500 0.4227 0.0929  1 Ga 2.34
Br16 0.2500 0.9227 0.4071  1 Ga 2.34

Values from the calculation:
Calculated formation energy, kJ per mole of atoms: -155.7
Space group: Pnma (62)
Crystal system: orthorhombic
Final energy, eV/cell: -72.08

---

4.
# Cs2GaHgBr6

A geometry-optimized Cs2GaHgBr6 structure (PBE-GGA, the Materials Project database).

a = 7.9115 Å, b = 7.9115 Å, c = 7.9115 Å
α = 60.00°, β = 60.00°, γ = 60.00°
With the nearest neighbours (Å) after each atom.
Atoms (fractional coordinates):
Cs1 0.7500 0.7500 0.7500  12 Br 3.96
Cs2 0.2500 0.2500 0.2500  12 Br 3.96
Ga1 0.0000 0.0000 0.0000  6 Br 2.64
Hg1 0.5000 0.5000 0.5000  6 Br 2.95
Br1 0.7637 0.2363 0.2363  1 Ga 2.64, 1 Hg 2.95
Br2 0.2363 0.2363 0.7637  1 Ga 2.64, 1 Hg 2.95
Br3 0.2363 0.7637 0.7637  1 Ga 2.64, 1 Hg 2.95
Br4 0.2363 0.7637 0.2363  1 Ga 2.64, 1 Hg 2.95
Br5 0.7637 0.2363 0.7637  1 Ga 2.64, 1 Hg 2.95
Br6 0.7637 0.7637 0.2363  1 Ga 2.64, 1 Hg 2.95

Values from the calculation:
Calculated formation energy, kJ per mole of atoms: -137.1
Total magnetic moment, μB/f.u.: 0.00
Space group: Fm-3m (225)
Crystal system: cubic
Final energy, eV/cell: -25.95